Na2AlGaSiS2O12 PBE-GGA relaxed; SG = P1, No. 1; calculated formation energy = -2.38 eV/atom; calculated density = 3.03 g/cm³
1.0
8.5990 0.0000 0.0000
-4.2866 7.4589 0.0000
-0.0299 -0.0620 21.9143
Na Al Ga Si S O
12 6 6 6 12 72
direct
0.0000 0.0000 0.0000
0.0011 0.0021 0.5009
0.0091 0.6430 0.2552
0.3066 0.3272 0.9230
0.3283 0.6734 0.3342
0.3277 0.6746 0.8340
0.3360 0.0416 0.0839
0.3566 0.9920 0.7554
0.6525 0.3289 0.1678
0.6731 0.6952 0.4228
0.6742 0.3501 0.6684
0.9618 0.6671 0.5844
0.0149 0.9834 0.8515
0.0169 0.9874 0.3522
0.3297 0.6535 0.6871
0.3348 0.6730 0.9817
0.6782 0.3344 0.8157
0.9770 0.9749 0.6491
0.0308 0.0300 0.1483
0.3302 0.6675 0.4838
0.3478 0.6722 0.1860
0.6506 0.3350 0.0179
0.6669 0.3524 0.5190
0.6687 0.3258 0.3162
0.3046 0.0034 0.2497
0.3370 0.3885 0.0816
0.3793 0.0352 0.9144
0.6171 0.6686 0.5845
0.9680 0.6264 0.4156
0.9981 0.6971 0.7488
0.0013 0.2821 0.2530
0.0389 0.6587 0.0824
0.0462 0.3670 0.5863
0.2855 0.2879 0.7502
0.3397 0.9640 0.5858
0.3692 0.3250 0.4159
0.6314 0.9561 0.0829
0.6746 0.0461 0.4173
0.6748 0.6298 0.9152
0.7164 0.7185 0.2509
0.7202 0.0006 0.7517
0.9554 0.3306 0.9165
0.0166 0.8196 0.0861
0.0199 0.1907 0.3065
0.0346 0.1917 0.5965
0.0478 0.8362 0.8057
0.1125 0.6330 0.1402
0.1269 0.4915 0.6389
0.1396 0.4907 0.9211
0.1506 0.4412 0.5295
0.1585 0.1830 0.0836
0.1641 0.4618 0.2493
0.1637 0.6982 0.0301
0.1659 0.6470 0.4244
0.1669 0.9582 0.3059
0.1785 0.2118 0.8069
0.1811 0.9898 0.5924
0.1835 0.0278 0.9084
0.1857 0.6885 0.7393
0.1884 0.1698 0.4075
0.1988 0.1715 0.6965
0.2219 0.0312 0.1857
0.2923 0.8444 0.5311
0.3074 0.4694 0.7442
0.3106 0.8139 0.2427
0.3134 0.4792 0.0197
0.3573 0.8379 0.9258
0.3583 0.4913 0.4220
0.3649 0.8801 0.6410
0.3670 0.5036 0.1434
0.4419 0.2858 0.4717
0.4566 0.1631 0.9757
0.4656 0.3026 0.7557
0.4886 0.3633 0.3624
0.4913 0.6411 0.6423
0.5003 0.1820 0.2581
0.5030 0.1362 0.8544
0.5060 0.1371 0.5771
0.5080 0.6399 0.9217
0.5124 0.3570 0.0800
0.5165 0.8612 0.4208
0.5160 0.8873 0.1381
0.5359 0.6982 0.2481
0.5375 0.6970 0.5197
0.5382 0.8398 0.7455
0.5435 0.8450 0.0284
0.6380 0.1213 0.3620
0.6395 0.5080 0.8625
0.6460 0.4909 0.5817
0.6566 0.1394 0.0764
0.6950 0.1601 0.7560
0.6982 0.1527 0.4730
0.7018 0.5385 0.2549
0.7165 0.5609 0.9714
0.7975 0.8252 0.3074
0.8055 0.9623 0.0903
0.8070 0.9775 0.8061
0.8208 0.5022 0.7609
0.8220 0.8445 0.5891
0.8276 0.8014 0.1958
0.8293 0.8123 0.9064
0.8304 0.0320 0.6960
0.8379 0.0302 0.4097
0.8396 0.5454 0.4763
0.8435 0.3100 0.2554
0.8499 0.3046 0.9725
0.8644 0.3469 0.5805
0.8644 0.4939 0.0732
0.8733 0.3634 0.8623
0.8761 0.5068 0.3539
0.9665 0.1765 0.1956
0.9717 0.7910 0.6876
0.9737 0.8202 0.4096
0.9748 0.1693 0.9080